Entry 1:
# Re2N2ClF9 | the Materials Project database | GGA-PBE | optimized geometry
data_Re2N2ClF9
_chemical_formula_sum 'Re8 N8 Cl4 F36'
_cell_length_a 14.5063
_cell_length_b 8.8437
_cell_length_c 8.0940
_cell_angle_alpha 90.00
_cell_angle_beta 90.00
_cell_angle_gamma 90.00
_symmetry_space_group_name_H-M 'P 1'
_symmetry_Int_Tables_number 1
_symmetry_space_group_name_Hall 'P 1'
loop_
_atom_site_label
_atom_site_fract_x
_atom_site_fract_y
_atom_site_fract_z
Re1 0.0583 0.2500 0.1459
Re2 0.2215 0.2500 0.5910
Re3 0.2785 0.7500 0.0910
Re4 0.4417 0.7500 0.6459
Re5 0.5583 0.2500 0.3541
Re6 0.7215 0.2500 0.9090
Re7 0.7785 0.7500 0.4090
Re8 0.9417 0.7500 0.8541
N1 0.0046 0.7500 0.0264
N2 0.1983 0.7500 0.2509
N3 0.3017 0.2500 0.7509
N4 0.4954 0.2500 0.5264
N5 0.5046 0.7500 0.4736
N6 0.6983 0.7500 0.2491
N7 0.8017 0.2500 0.7491
N8 0.9954 0.2500 0.9736
Cl1 0.1322 0.7500 0.4043
Cl2 0.3678 0.2500 0.9043
Cl3 0.6322 0.7500 0.0957
Cl4 0.8678 0.2500 0.5957
F1 0.0390 0.7500 0.6968
F2 0.0742 0.0403 0.1774
F3 0.0742 0.4597 0.1774
F4 0.1276 0.2500 0.4121
F5 0.1437 0.1019 0.6834
F6 0.1437 0.3981 0.6834
F7 0.1782 0.2500 0.0531
F8 0.2227 0.5985 0.9618
F9 0.2227 0.9015 0.9618
F10 0.2773 0.0985 0.4618
F11 0.2773 0.4015 0.4618
F12 0.3218 0.7500 0.5531
F13 0.3563 0.6019 0.1834
F14 0.3563 0.8981 0.1834
F15 0.3724 0.7500 0.9121
F16 0.4258 0.5403 0.6774
F17 0.4258 0.9597 0.6774
F18 0.4610 0.2500 0.1968
F19 0.5390 0.7500 0.8032
F20 0.5742 0.0403 0.3226
F21 0.5742 0.4597 0.3226
F22 0.6276 0.2500 0.0879
F23 0.6437 0.1019 0.8166
F24 0.6437 0.3981 0.8166
F25 0.6782 0.2500 0.4469
F26 0.7227 0.5985 0.5382
F27 0.7227 0.9015 0.5382
F28 0.7773 0.0985 0.0382
F29 0.7773 0.4015 0.0382
F30 0.8218 0.7500 0.9469
F31 0.8563 0.6019 0.3166
F32 0.8563 0.8981 0.3166
F33 0.8724 0.7500 0.5879
F34 0.9258 0.5403 0.8226
F35 0.9258 0.9597 0.8226
F36 0.9610 0.2500 0.3032
# **Crystal system**: orthorhombic
# **Energy**: -5.896 eV/atom
# **Symmetry**: Pnma, No. 62

***

Entry 2:
# Na21S7ClO28F6 | the Materials Project database | GGA-PBE | optimized geometry
data_Na21S7ClO28F6
_chemical_formula_sum 'Na63 S21 Cl3 O84 F18'
_cell_length_a 12.3382
_cell_length_b 12.3382
_cell_length_c 19.5723
_cell_angle_alpha 90.00
_cell_angle_beta 90.00
_cell_angle_gamma 120.00
_symmetry_space_group_name_H-M 'P 1'
_symmetry_Int_Tables_number 1
_symmetry_space_group_name_Hall 'P 1'
loop_
_atom_site_label
_atom_site_fract_x
_atom_site_fract_y
_atom_site_fract_z
Na1 0.0000 0.1777 0.0000
Na2 0.0000 0.1891 0.2813
Na3 0.0000 0.4876 0.1447
Na4 0.0000 0.5157 0.8697
Na5 0.0000 0.5173 0.5882
Na6 0.0000 0.8158 0.7315
Na7 0.0000 0.8234 0.4484
Na8 0.1475 0.6689 0.4555
Na9 0.1497 0.6681 0.7373
Na10 0.1505 0.3338 0.1465
Na11 0.1523 0.8197 0.5911
Na12 0.1529 0.4866 0.0058
Na13 0.1536 0.4892 0.2864
Na14 0.1591 0.3335 0.8678
Na15 0.1744 0.8409 0.8678
Na16 0.1766 0.1766 0.4484
Na17 0.1777 0.0000 0.0000
Na18 0.1803 0.3327 0.5911
Na19 0.1832 0.8495 0.1465
Na20 0.1842 0.1842 0.7315
Na21 0.1891 0.0000 0.2813
Na22 0.3311 0.4787 0.4555
Na23 0.3319 0.4816 0.7373
Na24 0.3327 0.1803 0.5911
Na25 0.3338 0.1505 0.1465
Na26 0.3335 0.1591 0.8678
Na27 0.3338 0.8471 0.0058
Na28 0.3357 0.8464 0.2864
Na29 0.4787 0.3311 0.4555
Na30 0.4816 0.3319 0.7373
Na31 0.4827 0.4827 0.5882
Na32 0.4843 0.4843 0.8697
Na33 0.4866 0.1529 0.0058
Na34 0.4876 0.0000 0.1447
Na35 0.4892 0.1536 0.2864
Na36 0.5108 0.6643 0.2864
Na37 0.5124 0.5124 0.1447
Na38 0.5134 0.6662 0.0058
Na39 0.5157 0.0000 0.8697
Na40 0.5173 0.0000 0.5882
Na41 0.5184 0.8503 0.7373
Na42 0.5213 0.8525 0.4555
Na43 0.6643 0.5108 0.2864
Na44 0.6662 0.5134 0.0058
Na45 0.6662 0.8168 0.1465
Na46 0.6665 0.8256 0.8678
Na47 0.6673 0.8477 0.5911
Na48 0.6681 0.1497 0.7373
Na49 0.6689 0.1475 0.4555
Na50 0.8109 0.8109 0.2813
Na51 0.8158 0.0000 0.7315
Na52 0.8168 0.6662 0.1465
Na53 0.8197 0.1523 0.5911
Na54 0.8223 0.8223 0.0000
Na55 0.8234 0.0000 0.4484
Na56 0.8256 0.6665 0.8678
Na57 0.8409 0.1744 0.8678
Na58 0.8464 0.3357 0.2864
Na59 0.8471 0.3338 0.0058
Na60 0.8477 0.6673 0.5911
Na61 0.8495 0.1832 0.1465
Na62 0.8503 0.5184 0.7373
Na63 0.8525 0.5213 0.4555
S1 0.0000 0.0000 0.1330
S2 0.0000 0.0000 0.5907
S3 0.0000 0.0000 0.8593
S4 0.0000 0.3345 0.4463
S5 0.0000 0.3365 0.7208
S6 0.0000 0.6670 0.2913
S7 0.0000 0.6697 0.0189
S8 0.3303 0.3303 0.0189
S9 0.3330 0.3330 0.2913
S10 0.3333 0.6667 0.1478
S11 0.3333 0.6667 0.6079
S12 0.3333 0.6667 0.8792
S13 0.3345 0.0000 0.4463
S14 0.3365 0.0000 0.7208
S15 0.6635 0.6635 0.7208
S16 0.6655 0.6655 0.4463
S17 0.6670 0.0000 0.2913
S18 0.6667 0.3333 0.1478
S19 0.6667 0.3333 0.6079
S20 0.6667 0.3333 0.8792
S21 0.6697 0.0000 0.0189
Cl1 0.0000 0.0000 0.3528
Cl2 0.3333 0.6667 0.3825
Cl3 0.6667 0.3333 0.3825
O1 0.0000 0.0000 0.0559
O2 0.0000 0.0000 0.5142
O3 0.0000 0.0000 0.7826
O4 0.0000 0.1144 0.1579
O5 0.0000 0.1142 0.8846
O6 0.0000 0.3352 0.3701
O7 0.0000 0.3394 0.6440
O8 0.0000 0.4488 0.4723
O9 0.0000 0.4494 0.7482
O10 0.0000 0.5526 0.2660
O11 0.0000 0.5536 0.9974
O12 0.0000 0.6681 0.3679
O13 0.0000 0.6761 0.0955
O14 0.0000 0.8857 0.6161
O15 0.1144 0.0000 0.1579
O16 0.1142 0.0000 0.8846
O17 0.1143 0.1143 0.6161
O18 0.1138 0.3336 0.4720
O19 0.1142 0.3353 0.7448
O20 0.1142 0.7815 0.9914
O21 0.1145 0.7804 0.2654
O22 0.2185 0.3327 0.9914
O23 0.2185 0.5530 0.1224
O24 0.2196 0.3342 0.2654
O25 0.2200 0.6683 0.5826
O26 0.2199 0.8862 0.4720
O27 0.2211 0.8858 0.7448
O28 0.2216 0.6717 0.8544
O29 0.3239 0.3239 0.0955
O30 0.3283 0.5498 0.8544
O31 0.3319 0.3319 0.3679
O32 0.3317 0.5518 0.5826
O33 0.3327 0.2185 0.9914
O34 0.3333 0.6667 0.2244
O35 0.3333 0.6667 0.6850
O36 0.3333 0.6667 0.9560
O37 0.3336 0.1138 0.4720
O38 0.3342 0.2196 0.2654
O39 0.3352 0.0000 0.3701
O40 0.3353 0.1142 0.7448
O41 0.3345 0.7815 0.1224
O42 0.3394 0.0000 0.6440
O43 0.4464 0.4464 0.9974
O44 0.4474 0.4474 0.2660
O45 0.4470 0.6655 0.1224
O46 0.4482 0.7800 0.5826
O47 0.4488 0.0000 0.4723
O48 0.4494 0.0000 0.7482
O49 0.4502 0.7784 0.8544
O50 0.5498 0.3283 0.8544
O51 0.5512 0.5512 0.4723
O52 0.5506 0.5506 0.7482
O53 0.5518 0.3317 0.5826
O54 0.5526 0.0000 0.2660
O55 0.5530 0.2185 0.1224
O56 0.5536 0.0000 0.9974
O57 0.6606 0.6606 0.6440
O58 0.6655 0.4470 0.1224
O59 0.6648 0.6648 0.3701
O60 0.6647 0.7789 0.7448
O61 0.6664 0.7801 0.4720
O62 0.6658 0.8855 0.2654
O63 0.6667 0.3333 0.2244
O64 0.6667 0.3333 0.6850
O65 0.6667 0.3333 0.9560
O66 0.6673 0.8858 0.9914
O67 0.6681 0.0000 0.3679
O68 0.6683 0.2200 0.5826
O69 0.6717 0.2216 0.8544
O70 0.6761 0.0000 0.0955
O71 0.7784 0.4502 0.8544
O72 0.7789 0.6647 0.7448
O73 0.7804 0.1145 0.2654
O74 0.7800 0.4482 0.5826
O75 0.7801 0.6664 0.4720
O76 0.7815 0.3345 0.1224
O77 0.7815 0.1142 0.9914
O78 0.8855 0.6658 0.2654
O79 0.8857 0.0000 0.6161
O80 0.8862 0.2199 0.4720
O81 0.8858 0.2211 0.7448
O82 0.8858 0.6673 0.9914
O83 0.8856 0.8856 0.1579
O84 0.8858 0.8858 0.8846
F1 0.0000 0.3260 0.0700
F2 0.0000 0.3402 0.2164
F3 0.0000 0.3494 0.9189
F4 0.0000 0.6615 0.6655
F5 0.0000 0.6754 0.5198
F6 0.0000 0.6852 0.8177
F7 0.3148 0.3148 0.8177
F8 0.3246 0.3246 0.5198
F9 0.3260 0.0000 0.0700
F10 0.3385 0.3385 0.6655
F11 0.3402 0.0000 0.2164
F12 0.3494 0.0000 0.9189
F13 0.6506 0.6506 0.9189
F14 0.6598 0.6598 0.2164
F15 0.6615 0.0000 0.6655
F16 0.6740 0.6740 0.0700
F17 0.6754 0.0000 0.5198
F18 0.6852 0.0000 0.8177
# **Crystal system**: trigonal
# **Energy**: -5.307 eV/atom
# **Symmetry**: P31m, No. 157

***

Entry 3:
# Na15S5ClO20F4 | the Materials Project database | GGA-PBE | optimized geometry
data_Na15S5ClO20F4
_chemical_formula_sum 'Na45 S15 Cl3 O60 F12'
_cell_length_a 12.3269
_cell_length_b 12.3269
_cell_length_c 14.1548
_cell_angle_alpha 90.00
_cell_angle_beta 90.00
_cell_angle_gamma 120.00
_symmetry_space_group_name_H-M 'P 1'
_symmetry_Int_Tables_number 1
_symmetry_space_group_name_Hall 'P 1'
loop_
_atom_site_label
_atom_site_fract_x
_atom_site_fract_y
_atom_site_fract_z
Na1 0.0000 0.1902 0.1803
Na2 0.0000 0.5154 0.0000
Na3 0.0000 0.5182 0.6085
Na4 0.0000 0.8172 0.8080
Na5 0.0000 0.8245 0.4172
Na6 0.1476 0.6699 0.4266
Na7 0.1521 0.6672 0.8143
Na8 0.1531 0.8206 0.6136
Na9 0.1538 0.4899 0.1934
Na10 0.1621 0.3341 0.9973
Na11 0.1720 0.8379 0.9973
Na12 0.1755 0.1755 0.4172
Na13 0.1794 0.3325 0.6136
Na14 0.1828 0.1828 0.8080
Na15 0.1902 0.0000 0.1803
Na16 0.3301 0.4777 0.4266
Na17 0.3325 0.1794 0.6136
Na18 0.3328 0.4850 0.8143
Na19 0.3341 0.1621 0.9973
Na20 0.3361 0.8462 0.1934
Na21 0.4777 0.3301 0.4266
Na22 0.4818 0.4818 0.6085
Na23 0.4850 0.3328 0.8143
Na24 0.4846 0.4846 0.0000
Na25 0.4899 0.1538 0.1934
Na26 0.5101 0.6639 0.1934
Na27 0.5154 0.0000 0.0000
Na28 0.5150 0.8479 0.8143
Na29 0.5182 0.0000 0.6085
Na30 0.5223 0.8524 0.4266
Na31 0.6639 0.5101 0.1934
Na32 0.6659 0.8280 0.9973
Na33 0.6672 0.1521 0.8143
Na34 0.6675 0.8469 0.6136
Na35 0.6699 0.1476 0.4266
Na36 0.8098 0.8098 0.1803
Na37 0.8172 0.0000 0.8080
Na38 0.8206 0.1531 0.6136
Na39 0.8245 0.0000 0.4172
Na40 0.8280 0.6659 0.9973
Na41 0.8379 0.1720 0.9973
Na42 0.8462 0.3361 0.1934
Na43 0.8469 0.6675 0.6136
Na44 0.8479 0.5150 0.8143
Na45 0.8524 0.5223 0.4266
S1 0.0000 0.0000 0.6126
S2 0.0000 0.0000 0.9836
S3 0.0000 0.3346 0.4092
S4 0.0000 0.3368 0.7914
S5 0.0000 0.6688 0.2014
S6 0.3312 0.3312 0.2014
S7 0.3333 0.6667 0.0061
S8 0.3333 0.6667 0.6290
S9 0.3346 0.0000 0.4092
S10 0.3368 0.0000 0.7914
S11 0.6632 0.6632 0.7914
S12 0.6654 0.6654 0.4092
S13 0.6667 0.3333 0.0061
S14 0.6667 0.3333 0.6290
S15 0.6688 0.0000 0.2014
Cl1 0.0000 0.0000 0.2826
Cl2 0.3333 0.6667 0.3272
Cl3 0.6667 0.3333 0.3272
O1 0.0000 0.0000 0.5069
O2 0.0000 0.0000 0.8774
O3 0.0000 0.1145 0.0181
O4 0.0000 0.3353 0.3033
O5 0.0000 0.3429 0.6854
O6 0.0000 0.4485 0.8321
O7 0.0000 0.4487 0.4448
O8 0.0000 0.5535 0.1685
O9 0.0000 0.6720 0.3066
O10 0.0000 0.8857 0.6477
O11 0.1145 0.0000 0.0181
O12 0.1143 0.1143 0.6477
O13 0.1135 0.3336 0.4446
O14 0.1142 0.3347 0.8236
O15 0.1146 0.7814 0.1642
O16 0.2186 0.3333 0.1642
O17 0.2203 0.6691 0.9715
O18 0.2201 0.8865 0.4446
O19 0.2206 0.6697 0.5943
O20 0.2206 0.8858 0.8236
O21 0.3280 0.3280 0.3066
O22 0.3303 0.5509 0.5943
O23 0.3309 0.5511 0.9715
O24 0.3333 0.2186 0.1642
O25 0.3333 0.6667 0.1118
O26 0.3333 0.6667 0.7354
O27 0.3336 0.1135 0.4446
O28 0.3353 0.0000 0.3033
O29 0.3347 0.1142 0.8236
O30 0.3429 0.0000 0.6854
O31 0.4465 0.4465 0.1685
O32 0.4485 0.0000 0.8321
O33 0.4487 0.0000 0.4448
O34 0.4491 0.7794 0.5943
O35 0.4489 0.7797 0.9715
O36 0.5509 0.3303 0.5943
O37 0.5511 0.3309 0.9715
O38 0.5513 0.5513 0.4448
O39 0.5515 0.5515 0.8321
O40 0.5535 0.0000 0.1685
O41 0.6571 0.6571 0.6854
O42 0.6647 0.6647 0.3033
O43 0.6653 0.7794 0.8236
O44 0.6664 0.7799 0.4446
O45 0.6667 0.3333 0.1118
O46 0.6667 0.3333 0.7354
O47 0.6667 0.8854 0.1642
O48 0.6691 0.2203 0.9715
O49 0.6697 0.2206 0.5943
O50 0.6720 0.0000 0.3066
O51 0.7794 0.4491 0.5943
O52 0.7794 0.6653 0.8236
O53 0.7797 0.4489 0.9715
O54 0.7799 0.6664 0.4446
O55 0.7814 0.1146 0.1642
O56 0.8854 0.6667 0.1642
O57 0.8857 0.0000 0.6477
O58 0.8865 0.2201 0.4446
O59 0.8858 0.2206 0.8236
O60 0.8855 0.8855 0.0181
F1 0.0000 0.3473 0.0763
F2 0.0000 0.6595 0.7165
F3 0.0000 0.6767 0.5160
F4 0.0000 0.6840 0.9252
F5 0.3160 0.3160 0.9252
F6 0.3233 0.3233 0.5160
F7 0.3405 0.3405 0.7165
F8 0.3473 0.0000 0.0763
F9 0.6527 0.6527 0.0763
F10 0.6595 0.0000 0.7165
F11 0.6767 0.0000 0.5160
F12 0.6840 0.0000 0.9252
# **Crystal system**: trigonal
# **Energy**: -5.294 eV/atom
# **Symmetry**: P31m, No. 157

***

Entry 4:
# NaSbClOF3 | the Materials Project database | GGA-PBE | optimized geometry
data_NaSbClOF3
_chemical_formula_sum 'Na8 Sb8 Cl8 O8 F24'
_cell_length_a 5.9768
_cell_length_b 15.0056
_cell_length_c 11.5313
_cell_angle_alpha 90.00
_cell_angle_beta 90.00
_cell_angle_gamma 90.00
_symmetry_space_group_name_H-M 'P 1'
_symmetry_Int_Tables_number 1
_symmetry_space_group_name_Hall 'P 1'
loop_
_atom_site_label
_atom_site_fract_x
_atom_site_fract_y
_atom_site_fract_z
Na1 0.2069 0.0079 0.1251
Na2 0.2069 0.4921 0.6251
Na3 0.2931 0.5079 0.1251
Na4 0.2931 0.9921 0.6251
Na5 0.7069 0.0079 0.3749
Na6 0.7069 0.4921 0.8749
Na7 0.7931 0.5079 0.3749
Na8 0.7931 0.9921 0.8749
Sb1 0.1493 0.1680 0.4087
Sb2 0.1493 0.3320 0.9087
Sb3 0.3507 0.6680 0.4087
Sb4 0.3507 0.8320 0.9087
Sb5 0.6493 0.1680 0.0913
Sb6 0.6493 0.3320 0.5913
Sb7 0.8507 0.6680 0.0913
Sb8 0.8507 0.8320 0.5913
Cl1 0.2272 0.2401 0.6416
Cl2 0.2272 0.2599 0.1416
Cl3 0.2728 0.7401 0.6416
Cl4 0.2728 0.7599 0.1416
Cl5 0.7272 0.2401 0.8584
Cl6 0.7272 0.2599 0.3584
Cl7 0.7728 0.7401 0.8584
Cl8 0.7728 0.7599 0.3584
O1 0.1669 0.1112 0.7586
O2 0.1669 0.3888 0.2586
O3 0.3331 0.6112 0.7586
O4 0.3331 0.8888 0.2586
O5 0.6669 0.1112 0.7414
O6 0.6669 0.3888 0.2414
O7 0.8331 0.6112 0.7414
O8 0.8331 0.8888 0.2414
F1 0.0422 0.0815 0.2873
F2 0.0422 0.4185 0.7873
F3 0.0577 0.5984 0.9935
F4 0.0577 0.9016 0.4935
F5 0.1176 0.5781 0.4546
F6 0.1176 0.9219 0.9546
F7 0.3824 0.0781 0.4546
F8 0.3824 0.4219 0.9546
F9 0.4423 0.0984 0.9935
F10 0.4423 0.4016 0.4935
F11 0.4578 0.5815 0.2873
F12 0.4578 0.9185 0.7873
F13 0.5422 0.0815 0.2127
F14 0.5422 0.4185 0.7127
F15 0.5577 0.5984 0.5065
F16 0.5577 0.9016 0.0065
F17 0.6176 0.5781 0.0454
F18 0.6176 0.9219 0.5454
F19 0.8824 0.0781 0.0454
F20 0.8824 0.4219 0.5454
F21 0.9423 0.0984 0.5065
F22 0.9423 0.4016 0.0065
F23 0.9578 0.5815 0.2127
F24 0.9578 0.9185 0.7127
# **Crystal system**: orthorhombic
# **Energy**: -4.076 eV/atom
# **Symmetry**: Pbca, No. 61

***

Which value of energy does entry 2 give? -5.307 eV/atom